# 1
An optimized crystal structure of Er3Fe2Si3, computed with PBE.

Summary:
- Total energy after the MP2020 corrections: -6.523 eV/atom
- DFT total energy: -6.550 eV/atom

Cell lengths 5.6076, 5.6076, 13.4750 Å; angles 90.00, 90.00, 137.54 degrees
Last column: nearest neighbours and their distance in Å.
Fractional coordinates of all 16 atoms:
Er1 0.0788 0.9212 0.6126  7 Si 2.92-3.26, 4 Fe 2.96-3.09
Er2 0.0788 0.9212 0.8874  7 Si 2.92-3.26, 4 Fe 2.96-3.09
Er3 0.6379 0.3621 0.2500  4 Si 2.84, 4 Fe 3.16
Er4 0.9212 0.0788 0.1126  7 Si 2.92-3.26, 4 Fe 2.96-3.09
Er5 0.9212 0.0788 0.3874  7 Si 2.92-3.26, 4 Fe 2.96-3.09
Er6 0.3621 0.6379 0.7500  4 Si 2.84, 4 Fe 3.16
Si1 0.6242 0.3758 0.0393  3 Fe 2.31-2.34
Si2 0.3758 0.6242 0.5393  3 Fe 2.31-2.34
Si3 0.6242 0.3758 0.4607  3 Fe 2.31-2.34
Si4 0.3758 0.6242 0.9607  3 Fe 2.31-2.34
Si5 0.3273 0.6727 0.2500  2 Fe 2.57, 2 Er 2.84
Si6 0.6727 0.3273 0.7500  2 Fe 2.57, 2 Er 2.84
Fe1 0.7857 0.2143 0.9195  4 Si 2.31-2.57
Fe2 0.2143 0.7857 0.0805  4 Si 2.31-2.57
Fe3 0.7857 0.2143 0.5805  4 Si 2.31-2.57
Fe4 0.2143 0.7857 0.4195  4 Si 2.31-2.57

***

# 2
An optimized crystal structure of RbNaMg6, computed with PBE.

Summary:
- Excess energy over the best structure of this formula in the dataset: 0 meV per atom
- DFT total energy: -1.265 eV/atom

Cell lengths 5.4795, 6.5122, 13.1278 Å; angles 90.00, 90.00, 90.00 degrees
Last column: nearest neighbours and their distance in Å.
Fractional coordinates of all 16 atoms:
Mg1 0.5000 0.2499 0.9236  8 Mg 3.25-3.39, 1 Rb 3.60, 1 Na 3.64
Mg2 0.5000 0.2501 0.4236  8 Mg 3.25-3.39, 1 Rb 3.60, 1 Na 3.64
Mg3 0.5000 0.7499 0.4236  8 Mg 3.25-3.39, 1 Rb 3.60, 1 Na 3.64
Mg4 0.0000 0.5000 0.3516  8 Mg 3.13-3.32
Mg5 0.0000 0.2583 0.5577  6 Mg 3.13-3.37, 2 Na 3.50
Mg6 0.0000 0.5000 0.8353  8 Mg 3.26-3.39, 2 Na 3.48
Mg7 0.0000 0.7417 0.5577  6 Mg 3.13-3.37, 2 Na 3.50
Mg8 0.0000 0.7583 0.0577  6 Mg 3.13-3.37, 2 Na 3.50
Mg9 0.5000 0.7501 0.9236  8 Mg 3.25-3.39, 1 Rb 3.60, 1 Na 3.64
Mg10 0.0000 0.0000 0.8516  8 Mg 3.13-3.32
Mg11 0.0000 0.2417 0.0577  6 Mg 3.13-3.37, 2 Na 3.50
Mg12 0.0000 0.0000 0.3353  8 Mg 3.26-3.39, 2 Na 3.48
Na1 0.5000 0.5000 0.6716  2 Rb 3.26, 8 Mg 3.48-3.64
Na2 0.5000 0.0000 0.1716  2 Rb 3.26, 8 Mg 3.48-3.64
Rb1 0.5000 0.5000 0.1790  2 Na 3.26, 8 Mg 3.56-3.60
Rb2 0.5000 0.0000 0.6790  2 Na 3.26, 8 Mg 3.56-3.60

***

# 3
An optimized crystal structure of BaSi2O5, computed with PBE.

Summary:
- Excess energy over the best structure of this formula in the dataset: 3 meV per atom
- Total energy after the MP2020 corrections: -8.046 eV/atom
- DFT total energy: -7.617 eV/atom

Cell lengths 11.9936, 11.9936, 13.8217 Å; angles 82.78, 82.78, 22.75 degrees
Last column: nearest neighbours and their distance in Å.
Fractional coordinates of all 48 atoms:
O1 0.1925 0.9498 0.8201  2 Si 1.65
O2 0.3971 0.4626 0.0500  1 Si 1.59
O3 0.7675 0.7746 0.9060  1 Si 1.59
O4 0.2325 0.2254 0.0940  1 Si 1.59
O5 0.8313 0.5070 0.3647  2 Si 1.65-1.66
O6 0.9498 0.1925 0.3201  2 Si 1.65
O7 0.1885 0.3360 0.2806  2 Si 1.65
O8 0.5374 0.6029 0.4500  1 Si 1.59
O9 0.4930 0.1687 0.1353  2 Si 1.65-1.66
O10 0.2254 0.2325 0.5940  1 Si 1.59
O11 0.0963 0.0765 0.6216  1 Si 1.59
O12 0.8075 0.0502 0.1799  2 Si 1.65
O13 0.0765 0.0963 0.1216  1 Si 1.59
O14 0.5146 0.2725 0.7481  2 Si 1.66
O15 0.2725 0.5146 0.2481  2 Si 1.66
O16 0.5070 0.8313 0.8647  2 Si 1.65-1.66
O17 0.8115 0.6640 0.7194  2 Si 1.65
O18 0.7746 0.7675 0.4060  1 Si 1.59
O19 0.7825 0.2175 0.7500  2 Si 1.65
O20 0.2175 0.7825 0.2500  2 Si 1.65
O21 0.1687 0.4930 0.6353  2 Si 1.65-1.66
O22 0.0502 0.8075 0.6799  2 Si 1.65
O23 0.3360 0.1885 0.7806  2 Si 1.65
O24 0.9235 0.9037 0.8784  1 Si 1.59
O25 0.6640 0.8115 0.2194  2 Si 1.65
O26 0.7275 0.4854 0.7519  2 Si 1.66
O27 0.9037 0.9235 0.3784  1 Si 1.59
O28 0.4854 0.7275 0.2519  2 Si 1.66
O29 0.6029 0.5374 0.9500  1 Si 1.59
O30 0.4626 0.3971 0.5500  1 Si 1.59
Si1 0.3773 0.1480 0.1796  4 O 1.59-1.66
Si2 0.9646 0.1686 0.7293  4 O 1.59-1.66
Si3 0.8314 0.0354 0.7707  4 O 1.59-1.66
Si4 0.5180 0.6867 0.8496  4 O 1.59-1.66
Si5 0.6227 0.8520 0.8204  4 O 1.59-1.66
Si6 0.1686 0.9646 0.2293  4 O 1.59-1.66
Si7 0.8520 0.6227 0.3204  4 O 1.59-1.66
Si8 0.3133 0.4820 0.6504  4 O 1.59-1.66
Si9 0.1480 0.3773 0.6796  4 O 1.59-1.66
Si10 0.0354 0.8314 0.2707  4 O 1.59-1.66
Si11 0.6867 0.5180 0.3496  4 O 1.59-1.66
Si12 0.4820 0.3133 0.1504  4 O 1.59-1.66
Ba1 0.7102 0.6169 0.0646  6 O 2.71-2.98
Ba2 0.0000 0.0000 0.0000  8 O 2.79-3.04
Ba3 0.2898 0.3831 0.9354  6 O 2.71-2.98
Ba4 0.0000 0.0000 0.5000  8 O 2.79-3.04
Ba5 0.6169 0.7102 0.5646  6 O 2.71-2.98
Ba6 0.3831 0.2898 0.4354  6 O 2.71-2.98

***

# 4
An optimized crystal structure of BaP2O6, computed with PBE.

Summary:
- Total energy after the MP2020 corrections: -7.696 eV/atom
- DFT total energy: -7.238 eV/atom

Cell lengths 6.9901, 7.6739, 11.9788 Å; angles 55.09, 90.00, 90.00 degrees
Last column: nearest neighbours and their distance in Å.
Fractional coordinates of all 36 atoms:
P1 0.8947 0.0441 0.3359  4 O 1.50-1.66
P2 0.6053 0.0441 0.8359  4 O 1.50-1.66
P3 0.7049 0.2920 0.0794  4 O 1.50-1.63
P4 0.3947 0.9559 0.1641  4 O 1.50-1.66
P5 0.2049 0.7080 0.4206  4 O 1.50-1.63
P6 0.7951 0.2920 0.5794  4 O 1.50-1.63
P7 0.1053 0.9559 0.6641  4 O 1.50-1.66
P8 0.2951 0.7080 0.9206  4 O 1.50-1.63
O1 0.7757 0.3858 0.9379  1 P 1.50
O2 0.5313 0.7904 0.1834  1 P 1.50
O3 0.0313 0.2096 0.3166  1 P 1.50
O4 0.5018 0.8188 0.8977  2 P 1.61-1.62
O5 0.0018 0.1812 0.6023  2 P 1.61-1.62
O6 0.9687 0.7904 0.6834  1 P 1.50
O7 0.7106 0.0014 0.4126  1 P 1.50
O8 0.3181 0.5679 0.8708  1 P 1.51
O9 0.9982 0.8188 0.3977  2 P 1.61-1.62
O10 0.1819 0.5679 0.3708  1 P 1.51
O11 0.6819 0.4321 0.1292  1 P 1.51
O12 0.2106 0.9986 0.0874  1 P 1.50
O13 0.2243 0.6142 0.0621  1 P 1.50
O14 0.8424 0.0935 0.1853  2 P 1.63-1.66
O15 0.7243 0.3858 0.4379  1 P 1.50
O16 0.2894 0.9986 0.5874  1 P 1.50
O17 0.7894 0.0014 0.9126  1 P 1.50
O18 0.1576 0.9065 0.8147  2 P 1.63-1.66
O19 0.8181 0.4321 0.6292  1 P 1.51
O20 0.3424 0.9065 0.3147  2 P 1.63-1.66
O21 0.2757 0.6142 0.5621  1 P 1.50
O22 0.6576 0.0935 0.6853  2 P 1.63-1.66
O23 0.4687 0.2096 0.8166  1 P 1.50
O24 0.4982 0.1812 0.1023  2 P 1.61-1.62
Ba1 0.5973 0.6803 0.6745  7 O 2.74-2.96
Ba2 0.4027 0.3197 0.3255  7 O 2.74-2.96
Ba3 0.0973 0.3197 0.8255  7 O 2.74-2.96
Ba4 0.9027 0.6803 0.1745  7 O 2.74-2.96

***

# 5
An optimized crystal structure of Hf4TiPb5O15, computed with PBE.

Summary:
- Excess energy over the best structure of this formula in the dataset: 696 meV per atom
- Total energy after the MP2020 corrections: -7.854 eV/atom
- DFT total energy: -7.442 eV/atom

Cell lengths 8.2413, 8.4183, 10.6815 Å; angles 108.01, 95.93, 100.22 degrees
Last column: nearest neighbours and their distance in Å.
Fractional coordinates of all 25 atoms:
O1 0.1912 0.5675 0.3971  1 Ti 1.78
O2 0.9735 0.2511 0.5087  1 Hf 1.89
O3 0.3783 0.8479 0.3035  1 Ti 1.78
O4 0.7862 0.9694 0.5992  1 Hf 1.92
O5 0.4852 0.7360 0.9796  1 Hf 1.89
O6 0.6777 0.5388 0.3847  1 Hf 1.92
O7 0.9945 0.7740 0.9947  1 Hf 1.90
O8 0.0877 0.1441 0.1773  1 Hf 1.90
O9 0.2852 0.9417 0.5843  1 Ti 1.79
O10 0.5907 0.1714 0.1995  1 Hf 1.89
O11 0.1782 0.0473 0.9038  1 Hf 1.90
O12 0.8853 0.3380 0.7829  1 Hf 1.90
O13 0.3950 0.3718 0.7957  1 Hf 1.89
O14 0.5780 0.6495 0.7026  1 Hf 1.92
O15 0.7720 0.4411 0.1055  1 Hf 1.90
Pb1 0.9731 0.3369 0.3233  3 O 2.27-2.31
Pb2 0.3697 0.9363 0.1238  3 O 2.26-2.32
Pb3 0.1725 0.1384 0.7226  3 O 2.26-2.30
Pb4 0.5812 0.7374 0.5267  3 O 2.21-2.22
Pb5 0.7775 0.5399 0.9288  3 O 2.28-2.30
Hf1 0.0019 0.0021 0.9979  3 O 1.90
Hf2 0.4029 0.5993 0.7990  3 O 1.89-1.92
Hf3 0.5983 0.3980 0.2019  3 O 1.89-1.92
Hf4 0.8001 0.2004 0.6024  3 O 1.89-1.92
Ti1 0.2669 0.7882 0.4222  3 O 1.78-1.79

***

# 6
An optimized crystal structure of SmFe10Re2, computed with PBE.

Summary:
- DFT total energy: -8.805 eV/atom

Cell lengths 4.7006, 6.5156, 6.5156 Å; angles 96.14, 111.14, 68.86 degrees
Last column: nearest neighbours and their distance in Å.
Fractional coordinates of all 13 atoms:
Fe1 0.5000 0.5000 0.0000  6 Fe 2.35-2.49, 2 Re 2.60
Fe2 0.7219 0.7781 0.2219  8 Fe 2.49-2.77, 2 Re 2.66
Fe3 0.0000 0.0000 0.5000  6 Fe 2.35-2.49, 2 Re 2.60
Fe4 0.5000 0.2329 0.2329  6 Fe 2.43-2.61, 2 Re 2.59
Fe5 0.0000 0.5000 0.0000  6 Fe 2.35-2.49, 2 Re 2.60
Fe6 0.6402 0.3598 0.6402  9 Fe 2.38-2.64
Fe7 0.2781 0.2219 0.7781  8 Fe 2.49-2.77, 2 Re 2.66
Fe8 0.3598 0.6402 0.3598  9 Fe 2.38-2.64
Fe9 0.5000 0.7671 0.7671  6 Fe 2.43-2.61, 2 Re 2.59
Fe10 0.5000 0.0000 0.5000  6 Fe 2.35-2.49, 2 Re 2.60
Re1 0.0000 0.3579 0.3579  1 Re 2.48, 8 Fe 2.59-2.66
Re2 0.0000 0.6421 0.6421  1 Re 2.48, 8 Fe 2.59-2.66
Sm1 0.0000 0.0000 0.0000  18 Fe 3.01-3.26, 2 Re 3.12

***

We obtain ΔH_f (0 K) values of -508 172 -2592 -2589 -5388 -15 kJ/mol of formula units for the records listed above, in that order.